1.
This record from Materials Project describes a geometry-optimized P4WO12 structure. The functional is PBE with a Hubbard U.

- total magnetic moment (μB/atom) = 0.12
- energy relative to the elements (eV/atom) = -2.480

abc: 8.4236 9.5930 12.9677
angles: 90.00 90.00 90.00
With the nearest neighbours (Å) after each atom.
Atoms (fractional coordinates):
O1 0.5911 0.3766 0.3922  1 P 1.46
O2 0.8759 0.8819 0.3753  1 P 1.52
O3 0.1916 0.8721 0.9321  1 P 1.53
O4 0.3084 0.3721 0.5679  1 P 1.53
P1 0.8241 0.4979 0.8607  2 O 1.46-1.53
O5 0.0339 0.8735 0.5726  1 P 1.52
P2 0.9687 0.4876 0.6538  4 O 1.52-1.58
W1 0.6400 0.2500 0.0000  6 O 2.04-2.11
P3 0.1759 0.5021 0.1393  2 O 1.46-1.53
O6 0.8949 0.0749 0.2447  2 P 1.58-1.65
O7 0.3563 0.0344 0.8189  2 P 1.58-1.65
O8 0.6437 0.9656 0.1811  2 P 1.58-1.65
O9 0.1051 0.5749 0.2447  2 P 1.58-1.65
O10 0.9661 0.1265 0.4274  1 P 1.52
O11 0.0339 0.6265 0.4274  1 P 1.52
O12 0.6051 0.9251 0.7447  2 P 1.58-1.65
P4 0.3241 0.4979 0.6393  2 O 1.46-1.53
O13 0.8084 0.1279 0.0679  1 P 1.53
O14 0.8563 0.0344 0.6811  2 P 1.58-1.65
W2 0.1400 0.2500 0.5000  6 O 2.04-2.11
O15 0.5339 0.6265 0.0726  1 P 1.52
O16 0.6241 0.3819 0.1247  1 P 1.52
P5 0.5313 0.9876 0.8462  4 O 1.52-1.58
O17 0.4089 0.6234 0.6078  1 P 1.46
O18 0.3759 0.6181 0.8753  1 P 1.52
O19 0.5339 0.8735 0.9274  1 P 1.52
O20 0.6916 0.8721 0.5679  1 P 1.53
O21 0.9661 0.3735 0.5726  1 P 1.52
O22 0.9089 0.8766 0.1078  1 P 1.46
O23 0.1916 0.6279 0.0679  1 P 1.53
O24 0.0911 0.1234 0.8922  1 P 1.46
P6 0.0313 0.9876 0.6538  4 O 1.52-1.58
O25 0.1437 0.9656 0.3189  2 P 1.58-1.65
P7 0.9687 0.0124 0.3462  4 O 1.52-1.58
O26 0.0911 0.3766 0.1078  1 P 1.46
O27 0.6437 0.5344 0.8189  2 P 1.58-1.65
P8 0.6759 0.9979 0.6393  2 O 1.46-1.53
P9 0.3241 0.0021 0.3607  2 O 1.46-1.53
P10 0.0313 0.5124 0.3462  4 O 1.52-1.58
O28 0.3759 0.8819 0.1247  1 P 1.52
P11 0.6759 0.5021 0.3607  2 O 1.46-1.53
O29 0.9089 0.6234 0.8922  1 P 1.46
O30 0.3949 0.0749 0.2553  2 P 1.58-1.65
O31 0.4661 0.1265 0.0726  1 P 1.52
O32 0.8949 0.4251 0.7553  2 P 1.58-1.65
O33 0.6051 0.5749 0.2553  2 P 1.58-1.65
O34 0.3563 0.4656 0.1811  2 P 1.58-1.65
O35 0.8563 0.4656 0.3189  2 P 1.58-1.65
O36 0.4661 0.3735 0.9274  1 P 1.52
O37 0.1241 0.1181 0.6247  1 P 1.52
P12 0.4687 0.4876 0.8462  4 O 1.52-1.58
O38 0.5911 0.1234 0.6078  1 P 1.46
O39 0.8084 0.3721 0.9321  1 P 1.53
O40 0.3949 0.4251 0.7447  2 P 1.58-1.65
O41 0.4089 0.8766 0.3922  1 P 1.46
O42 0.3084 0.1279 0.4321  1 P 1.53
O43 0.1051 0.9251 0.7553  2 P 1.58-1.65
P13 0.5313 0.5124 0.1538  4 O 1.52-1.58
O44 0.8759 0.6181 0.6247  1 P 1.52
P14 0.8241 0.0021 0.1393  2 O 1.46-1.53
O45 0.1437 0.5344 0.6811  2 P 1.58-1.65
P15 0.1759 0.9979 0.8607  2 O 1.46-1.53
W3 0.8600 0.7500 0.5000  6 O 2.04-2.11
O46 0.1241 0.3819 0.3753  1 P 1.52
O47 0.6241 0.1181 0.8753  1 P 1.52
W4 0.3600 0.7500 0.0000  6 O 2.04-2.11
P16 0.4687 0.0124 0.1538  4 O 1.52-1.58
O48 0.6916 0.6279 0.4321  1 P 1.53

2.
This record from Materials Project describes a geometry-optimized Mn4O7F structure. The functional is PBE with a Hubbard U.

- total magnetic moment (μB/atom) = 1.08
- energy relative to the elements (eV/atom) = -1.889

abc: 8.9524 5.4946 4.9678
angles: 90.00 90.00 88.66
With the nearest neighbours (Å) after each atom.
Atoms (fractional coordinates):
O1 0.1156 0.8892 0.4113  3 Mn 1.93-1.95
Mn1 0.2493 0.6517 0.2362  5 O 1.93-2.01, 1 F 2.05
Mn2 0.0042 0.1651 0.2596  5 O 1.94-1.96, 1 F 2.16
F1 0.8763 0.8768 0.0829  3 Mn 2.03-2.16
Mn3 0.0007 0.8483 0.7362  5 O 1.93-2.01, 1 F 2.05
O2 0.3865 0.1103 0.5797  3 Mn 1.92-1.96
O3 0.6310 0.6107 0.9246  3 Mn 1.92-1.95
O4 0.1100 0.1082 0.9237  3 Mn 1.94-1.98
O5 0.6297 0.3878 0.4259  3 Mn 1.89-2.00
O6 0.6203 0.1122 0.9259  3 Mn 1.89-2.00
Mn4 0.4991 0.1438 0.2496  6 O 1.93-2.00
O7 0.3882 0.8930 0.0741  3 Mn 1.92-2.01
O8 0.8821 0.1147 0.5762  3 Mn 1.94-1.96
O9 0.1400 0.3918 0.4237  3 Mn 1.94-1.98
O10 0.8635 0.3897 0.0797  3 Mn 1.92-1.96
Mn5 0.5100 0.8675 0.7562  5 O 1.89-1.95, 1 F 2.03
O11 0.3679 0.3853 0.0762  3 Mn 1.94-1.96
O12 0.1344 0.6108 0.9113  3 Mn 1.93-1.95
Mn6 0.2458 0.3349 0.7596  5 O 1.94-1.96, 1 F 2.16
Mn7 0.7509 0.3562 0.7496  6 O 1.93-2.00
O13 0.8618 0.6070 0.5741  3 Mn 1.92-2.01
F2 0.3737 0.6232 0.5829  3 Mn 2.03-2.16
O14 0.6190 0.8893 0.4246  3 Mn 1.92-1.95
Mn8 0.7400 0.6325 0.2562  5 O 1.89-1.95, 1 F 2.03

3.
This record from Materials Project describes a geometry-optimized Li9Mn2Co5O16 structure. The functional is PBE with a Hubbard U.

- total magnetic moment (μB/atom) = 0.31
- energy relative to the elements (eV/atom) = -1.807

abc: 2.9038 5.1674 19.3453
angles: 84.77 90.00 90.00
With the nearest neighbours (Å) after each atom.
Atoms (fractional coordinates):
O1 0.0000 0.1941 0.4358  3 Co 2.01-2.17, 3 Li 2.09-2.12
Li1 0.5000 0.5080 0.9954  6 O 2.03-2.21
Li2 0.0000 0.1283 0.6273  6 O 2.07-2.27
O2 0.5000 0.1692 0.9424  2 Mn 1.94, 2 Li 2.11-2.15
Li3 0.5000 0.8592 0.8753  6 O 2.03-2.15
O3 0.5000 0.9255 0.6876  3 Co 1.93-2.10, 3 Li 2.08-2.15
Co1 0.5000 0.1100 0.1231  6 O 2.02-2.10
Mn1 0.0000 0.9920 0.9938  5 O 1.84-1.99
Mn2 0.0000 0.2472 0.2496  6 O 1.98-2.19
Li4 0.5000 0.7459 0.2498  6 O 2.12-2.18
O4 0.5000 0.0869 0.3080  2 Mn 1.98, 1 Co 2.11, 3 Li 2.18
O5 0.0000 0.5587 0.3192  2 Co 2.02, 3 Li 2.06-2.15, 1 Mn 2.19
O6 0.5000 0.6565 0.4459  3 Co 1.95-2.03, 1 Li 2.16
O7 0.0000 0.2801 0.0621  2 Co 2.02, 1 Mn 2.08, 3 Li 2.17-2.21
Li5 0.5000 0.0010 0.5013  6 O 2.09-2.27
Li6 0.5000 0.2504 0.7495  6 O 2.05-2.15
Co2 0.5000 0.3772 0.3783  6 O 2.01-2.11
O8 0.5000 0.8346 0.0538  2 Mn 1.99, 1 Co 2.04, 3 Li 2.12-2.21
O9 0.0000 0.9296 0.1817  2 Co 2.02, 3 Li 2.08-2.12, 1 Mn 2.19
O10 0.0000 0.8178 0.5667  3 Co 2.00-2.11, 3 Li 2.07-2.09
O11 0.5000 0.4067 0.1904  2 Mn 1.98, 1 Co 2.10, 3 Li 2.17-2.18
Li7 0.0000 0.3986 0.8769  5 O 2.10-2.20
Li8 0.0000 0.6141 0.1225  6 O 2.08-2.21
Co3 0.0000 0.7483 0.7545  1 O 1.72
O12 0.0000 0.4794 0.6897  3 Co 1.95-2.05, 2 Li 2.14
Li9 0.0000 0.8769 0.3757  6 O 2.06-2.23
O13 0.5000 0.5635 0.8077  2 Co 1.98, 4 Li 2.05-2.10
O14 0.5000 0.3544 0.5626  3 Co 1.96-2.06, 2 Li 2.18
O15 0.0000 0.0148 0.8018  1 Co 1.72
O16 0.0000 0.7134 0.9414  1 Mn 1.84, 4 Li 2.03
Co4 0.0000 0.5056 0.5037  6 O 1.95-2.17
Co5 0.5000 0.6520 0.6264  6 O 1.93-2.06

4.
This record from Materials Project describes a geometry-optimized Ta2CrO6 structure. The functional is PBE with a Hubbard U.

- total magnetic moment (μB/atom) = 0.00
- energy relative to the elements (eV/atom) = -3.047

abc: 4.8181 4.8301 18.7780
angles: 90.00 91.41 90.00
With the nearest neighbours (Å) after each atom.
Atoms (fractional coordinates):
O1 0.2026 0.8111 0.5882  2 Ta 2.02-2.03, 1 Cr 2.11
Cr1 0.9998 0.0001 0.4999  6 O 2.11-2.33
O2 0.1864 0.8140 0.2497  2 Ta 2.03, 1 Cr 2.14
Ta1 0.9982 0.9876 0.8340  6 O 1.97-2.03
O3 0.2104 0.7728 0.4058  2 Ta 1.97
O4 0.7028 0.6888 0.8382  2 Ta 2.02-2.03, 1 Cr 2.11
O5 0.7028 0.6888 0.3383  2 Ta 2.02-2.03, 1 Cr 2.11
O6 0.2974 0.3111 0.6618  2 Ta 2.02-2.03, 1 Cr 2.11
O7 0.2104 0.7727 0.9058  2 Ta 1.97
Ta2 0.4983 0.5124 0.0840  6 O 1.97-2.03
Ta3 0.5018 0.4876 0.4160  6 O 1.97-2.03
O8 0.7104 0.7272 0.6558  2 Ta 1.97
Cr2 0.0001 0.9999 0.0000  6 O 2.11-2.33
O9 0.1864 0.8139 0.7496  2 Ta 2.03, 1 Cr 2.14
Ta4 0.0017 0.0125 0.1660  6 O 1.97-2.03
O10 0.8137 0.1861 0.2504  2 Ta 2.03, 1 Cr 2.14
Ta5 0.0017 0.0125 0.6660  6 O 1.97-2.03
O11 0.7973 0.1890 0.9118  2 Ta 2.02-2.03, 1 Cr 2.11
O12 0.3136 0.3139 0.5003  2 Ta 2.03, 1 Cr 2.14
O13 0.8135 0.1861 0.7504  2 Ta 2.03, 1 Cr 2.14
O14 0.7970 0.1889 0.4118  2 Ta 2.02-2.03, 1 Cr 2.11
O15 0.6864 0.6861 0.9996  2 Ta 2.03, 1 Cr 2.14
O16 0.2026 0.8111 0.0883  2 Ta 2.02-2.03, 1 Cr 2.11
O17 0.2896 0.2726 0.3442  2 Ta 1.97
Ta6 0.4982 0.5124 0.5840  6 O 1.97-2.03
O18 0.7105 0.7272 0.1558  2 Ta 1.97
Cr3 0.5000 0.5001 0.7500  6 O 2.11-2.33
O19 0.2897 0.2727 0.8442  2 Ta 1.97
O20 0.7895 0.2271 0.0942  2 Ta 1.97
Cr4 0.5001 0.5002 0.2500  6 O 2.11-2.34
Ta7 0.5018 0.4876 0.9160  6 O 1.97-2.03
O21 0.3136 0.3139 0.0003  2 Ta 2.03, 1 Cr 2.14
O22 0.6865 0.6861 0.4997  2 Ta 2.03, 1 Cr 2.14
O23 0.7895 0.2271 0.5942  2 Ta 1.97
O24 0.2974 0.3111 0.1617  2 Ta 2.02-2.03, 1 Cr 2.11
Ta8 0.9983 0.9876 0.3340  6 O 1.97-2.03

5.
This record from Materials Project describes a geometry-optimized Mn7PbO12 structure. The functional is PBE with a Hubbard U.

- total magnetic moment (μB/atom) = 0.75
- energy relative to the elements (eV/atom) = -1.902

abc: 6.5718 6.5729 10.6381
angles: 90.55 89.44 110.17
With the nearest neighbours (Å) after each atom.
Atoms (fractional coordinates):
O1 0.2519 0.7481 0.4332  3 Mn 1.95-2.01
O2 0.7481 0.2519 0.5667  3 Mn 1.95-2.01
O3 0.5977 0.7750 0.9079  3 Mn 1.96-2.04
Mn1 0.2507 0.2500 0.7498  6 O 1.99-2.09
O4 0.9798 0.6567 0.8465  3 Mn 1.95-2.09
Mn2 0.5000 0.0000 0.0000  6 O 1.97-2.04
Pb1 0.0001 0.0001 0.9999  12 O 2.73-2.78
O5 0.6567 0.9798 0.1536  3 Mn 1.95-2.10
O6 0.9333 0.0668 0.7514  3 Mn 1.97-2.02
O7 0.8430 0.5204 0.3463  3 Mn 1.95-2.09
O8 0.2485 0.7516 0.0661  3 Mn 1.96-2.01
Mn3 0.7496 0.2506 0.2496  4 O 1.95
O9 0.0961 0.2762 0.4101  3 Mn 1.96-2.02
O10 0.4021 0.2250 0.0921  3 Mn 1.96-2.04
O11 0.5204 0.8431 0.6537  3 Mn 1.95-2.09
Mn4 0.4998 0.5000 0.0000  4 O 1.96-1.97
Pb2 0.5001 0.4998 0.5000  12 O 2.73-2.78
O12 0.5672 0.4325 0.7476  3 Mn 1.97-2.01
O13 0.0668 0.9331 0.2486  3 Mn 1.97-2.02
Mn5 0.7503 0.2495 0.7499  4 O 1.95-1.97
Mn6 0.2500 0.2507 0.2503  6 O 1.98-2.10
O14 0.4329 0.5674 0.2523  3 Mn 1.97-2.01
O15 0.7237 0.9038 0.4101  3 Mn 1.96-2.02
O16 0.9038 0.7236 0.5900  3 Mn 1.96-2.02
O17 0.4796 0.1570 0.3463  3 Mn 1.95-2.09
Mn7 0.7498 0.7491 0.7499  6 O 1.98-2.09
Mn8 0.9999 0.9998 0.5001  4 O 1.96
Mn9 0.5001 0.0000 0.5000  6 O 1.97-2.02
O18 0.2249 0.4022 0.9080  3 Mn 1.96-2.04
Mn10 0.0002 0.5002 0.9999  6 O 1.97-2.04
O19 0.1570 0.4797 0.6538  3 Mn 1.95-2.09
Mn11 0.9999 0.4999 0.5000  6 O 1.97-2.02
O20 0.2763 0.0961 0.5900  3 Mn 1.96-2.02
O21 0.7516 0.2486 0.9338  3 Mn 1.96-2.01
O22 0.3434 0.0203 0.8465  3 Mn 1.95-2.09
O23 0.0202 0.3435 0.1535  3 Mn 1.95-2.10
Mn12 0.7494 0.7499 0.2503  6 O 1.99-2.10
Mn13 0.2499 0.7503 0.2499  4 O 1.95-1.97
O24 0.7750 0.5977 0.0920  3 Mn 1.97-2.04
Mn14 0.2504 0.7500 0.7504  4 O 1.95

6.
This record from Materials Project describes a geometry-optimized Li9Mn2Co5O16 structure. The functional is PBE with a Hubbard U.

- total magnetic moment (μB/atom) = 0.19
- energy relative to the elements (eV/atom) = -1.836

abc: 5.0806 5.1582 11.3063
angles: 81.66 86.47 80.19
With the nearest neighbours (Å) after each atom.
Atoms (fractional coordinates):
O1 0.6425 0.9489 0.2843  2 Co 1.91-2.00, 2 Li 2.02-2.10
O2 0.8756 0.9194 0.8489  1 Mn 2.00, 2 Co 2.04-2.05, 3 Li 2.11-2.16
Li1 0.7424 0.3087 0.1843  6 O 2.07-2.30
O3 0.3517 0.8029 0.9664  1 Mn 1.93, 1 Co 1.99, 3 Li 2.02-2.15
O4 0.1204 0.5791 0.6503  1 Mn 1.96, 2 Co 2.06-2.08, 3 Li 2.11-2.18
O5 0.6418 0.2081 0.0195  1 Co 1.89, 1 Mn 1.98, 2 Li 2.06-2.12
Co1 0.5013 0.3753 0.6274  6 O 1.92-2.08
O6 0.8809 0.1860 0.5924  1 Mn 1.98, 2 Co 2.02-2.05, 2 Li 2.13-2.15
Li2 0.2526 0.1879 0.3056  6 O 2.06-2.29
Mn1 0.0023 0.9943 0.0022  6 O 1.90-2.00
O7 0.1196 0.3137 0.9059  2 Co 1.97-2.05, 1 Mn 2.00, 2 Li 2.16-2.18
O8 0.3723 0.0490 0.7235  3 Co 2.01-2.05, 3 Li 2.13-2.16
Co2 0.0028 0.2463 0.7516  6 O 1.97-2.08
Li3 0.4998 0.8760 0.1239  6 O 2.08-2.14
Co3 0.4979 0.6277 0.3654  4 O 1.85-2.06
Co4 0.5005 0.1162 0.8830  5 O 1.89-2.05
Li4 0.7453 0.5651 0.9423  6 O 2.06-2.22
O9 0.8912 0.6844 0.0882  1 Mn 1.90, 1 Co 1.99, 3 Li 2.06-2.11
Mn2 0.0009 0.5026 0.4996  6 O 1.92-1.98
O10 0.6451 0.6960 0.5266  1 Mn 1.94, 2 Co 2.08-2.11, 2 Li 2.14-2.15
Li5 0.2527 0.9375 0.5629  6 O 2.07-2.21
Li6 0.7489 0.8095 0.6900  6 O 2.11-2.27
Li7 0.2495 0.6888 0.8142  6 O 2.02-2.24
Li8 0.7533 0.0607 0.4355  6 O 2.02-2.23
O11 0.1268 0.8129 0.4126  1 Mn 1.94, 2 Co 2.04-2.12, 2 Li 2.07-2.12
O12 0.1093 0.0843 0.1475  1 Mn 1.90, 1 Co 2.02, 2 Li 2.07-2.11
O13 0.3599 0.3016 0.4787  1 Mn 1.96, 2 Co 1.98-2.15, 1 Li 2.12
O14 0.3666 0.5406 0.2295  2 Co 1.85-2.08, 1 Li 2.06
O15 0.8802 0.4203 0.3535  1 Mn 1.92, 2 Co 2.06-2.13, 2 Li 2.13-2.14
O16 0.6257 0.4514 0.7735  3 Co 1.92-2.14, 1 Li 2.12
Li9 0.2514 0.4411 0.0650  6 O 2.06-2.21
Co5 0.9889 0.7638 0.2457  6 O 1.91-2.13